## ReH3O5 (PBE)

Data for a relaxed ReH3O5 crystal.

Computed properties:
Space-group type = P1
Raw total energy = -117.43 eV per cell
E (MP2020) = -124.30 eV/cell
Total moment = 0.00 μB per atom
E_form = -1.6431 eV/atom

Cell: 6.046 6.104 7.430 Å, 113.16 111.69 89.40°
Sites, in units of the cell vectors:
H 0.699 0.221 0.569
H 0.329 0.699 0.055
H 0.732 0.402 0.855
H 0.470 0.374 0.660
H 0.481 0.520 0.224
H 0.351 0.718 0.345
O 0.083 0.150 0.899
O 0.844 0.686 0.592
O 0.911 0.851 0.089
O 0.323 0.734 0.917
O 0.164 0.315 0.413
O 0.356 0.623 0.206
O 0.693 0.271 0.102
O 0.635 0.338 0.702
O 0.256 0.892 0.584
O 0.749 0.092 0.420
Re 0.881 0.134 0.255
Re 0.125 0.866 0.749

---

## SmGe2Pd2 (PBE)

Data for a relaxed SmGe2Pd2 crystal.

Computed properties:
Space-group type = I4/mmm
Raw total energy = -28.47 eV per cell
E_form = -0.8288 eV/atom

Cell: 4.324 4.324 5.943 Å, 111.33 111.33 90.00°
Sites, in units of the cell vectors:
Pd 0.750 0.250 0.500
Pd 0.250 0.750 0.500
Ge 0.621 0.621 0.243
Ge 0.379 0.379 0.757
Sm 0.000 0.000 0.000

---

## CePmTl2 (PBE)

Data for a relaxed CePmTl2 crystal.

Computed properties:
Space-group type = Fm-3m
Raw total energy = -16.64 eV per cell
E_form = -0.3089 eV/atom

Cell: 5.509 5.509 5.509 Å, 60.00 60.00 60.00°
Sites, in units of the cell vectors:
Tl 0.750 0.750 0.750
Tl 0.250 0.250 0.250
Pm 0.000 0.000 0.000
Ce 0.500 0.500 0.500